Record 1
{
  "formula": "CaMg14Sn",
  "functional": "GGA-PBE",
  "state": "optimized geometry",
  "lattice_angstrom": [[6.5211, 0.0865, 0.0000], [-3.1857, 5.5177, 0.0000], [0.0000, 0.0000, 10.5631]],
  "species": ["Ca", "Mg", "Mg", "Mg", "Mg", "Mg", "Mg", "Mg", "Mg", "Mg", "Mg", "Mg", "Mg", "Mg", "Mg", "Sn"],
  "frac_coords": [[0.1634, 0.3317, 0.1250], [0.1664, 0.3332, 0.6250], [0.1649, 0.8324, 0.6250], [0.6648, 0.3292, 0.1250], [0.6665, 0.3347, 0.6250], [0.6648, 0.8355, 0.1250], [0.6665, 0.8319, 0.6250], [0.3363, 0.1660, 0.3823], [0.3363, 0.1660, 0.8677], [0.3363, 0.6703, 0.3823], [0.3363, 0.6703, 0.8677], [0.8293, 0.1646, 0.3825], [0.8293, 0.1646, 0.8675], [0.8325, 0.6662, 0.3741], [0.8325, 0.6662, 0.8759], [0.1741, 0.8371, 0.1250]],
  "total_energy_ev_per_atom": -1.82,
  "e_form_mev_per_atom": -43
}



Record 2
{
  "formula": "CaAl12Si4O27",
  "functional": "GGA-PBE",
  "state": "optimized geometry",
  "lattice_angstrom": [[1.2987, 5.5425, -4.5837], [-5.0651, 0.6881, 5.2238], [6.0369, 3.0898, 5.4465]],
  "species": ["Ca", "Al", "Al", "Al", "Al", "Al", "Al", "Al", "Al", "Al", "Al", "Al", "Al", "Si", "Si", "Si", "Si", "O", "O", "O", "O", "O", "O", "O", "O", "O", "O", "O", "O", "O", "O", "O", "O", "O", "O", "O", "O", "O", "O", "O", "O", "O", "O", "O"],
  "frac_coords": [[0.0000, 0.0000, 0.0000], [0.9498, 0.7429, 0.3532], [0.4530, 0.3674, 0.8650], [0.2068, 0.9498, 0.6468], [0.3674, 0.9144, 0.1350], [0.5470, 0.6326, 0.1350], [0.7429, 0.7932, 0.6468], [0.0856, 0.4530, 0.1350], [0.9144, 0.5470, 0.8650], [0.2571, 0.2068, 0.3532], [0.6326, 0.0856, 0.8650], [0.7932, 0.0502, 0.3532], [0.0502, 0.2571, 0.6468], [0.6667, 0.3333, 0.5536], [0.3333, 0.6667, 0.4464], [0.3333, 0.6667, 0.8590], [0.6667, 0.3333, 0.1410], [0.4569, 0.1550, 0.0005], [0.3019, 0.4569, 0.9995], [0.6124, 0.1039, 0.2380], [0.8450, 0.3019, 0.0005], [0.5794, 0.8343, 0.4919], [0.1039, 0.4916, 0.7620], [0.1657, 0.7451, 0.4919], [0.2549, 0.4206, 0.4919], [0.8343, 0.2549, 0.5081], [0.4206, 0.1657, 0.5081], [0.2250, 0.1801, 0.7587], [0.7451, 0.5794, 0.5081], [0.9551, 0.7750, 0.7587], [0.8199, 0.0449, 0.7587], [0.1801, 0.9551, 0.2413], [0.4916, 0.3876, 0.2380], [0.5431, 0.8450, 0.9995], [0.7750, 0.8199, 0.2413], [0.6981, 0.5431, 0.0005], [0.5084, 0.6124, 0.7620], [0.3876, 0.8961, 0.7620], [0.8961, 0.5084, 0.2380], [0.3333, 0.6667, 0.2493], [0.6667, 0.3333, 0.7507], [0.1550, 0.6981, 0.9995], [0.0449, 0.2250, 0.2413], [0.0000, 0.0000, 0.5000]],
  "total_energy_ev_per_atom": -7.54,
  "e_form_mev_per_atom": -3364
}



Record 3
{
  "formula": "Er3Ga",
  "functional": "GGA-PBE",
  "state": "optimized geometry",
  "lattice_angstrom": [[4.6729, 0.0000, 0.0000], [0.0000, 4.6729, 0.0000], [0.0000, 0.0000, 4.6729]],
  "species": ["Er", "Er", "Er", "Ga"],
  "frac_coords": [[0.0000, 0.5000, 0.5000], [0.5000, 0.0000, 0.5000], [0.5000, 0.5000, 0.0000], [0.0000, 0.0000, 0.0000]],
  "total_energy_ev_per_atom": -4.42,
  "e_form_mev_per_atom": -239
}



Record 4
{
  "formula": "SrCeEuNbO6",
  "functional": "GGA-PBE",
  "state": "optimized geometry",
  "lattice_angstrom": [[-0.3178, 4.9041, 3.5170], [-5.3540, 1.8968, 2.0632], [-1.3528, -0.5685, 5.8623]],
  "species": ["Sr", "Ce", "Eu", "Nb", "O", "O", "O", "O", "O", "O"],
  "frac_coords": [[0.2500, 0.2500, 0.2500], [0.0000, 0.0000, 0.0000], [0.7500, 0.7500, 0.7500], [0.5000, 0.5000, 0.5000], [0.7371, 0.2629, 0.2629], [0.2629, 0.7371, 0.7371], [0.7371, 0.2629, 0.7371], [0.2629, 0.7371, 0.2629], [0.7371, 0.7371, 0.2629], [0.2629, 0.2629, 0.7371]],
  "total_energy_ev_per_atom": -8.62,
  "e_form_mev_per_atom": -3270
}



Record 5
{
  "formula": "Ba6CaI14",
  "functional": "GGA-PBE",
  "state": "optimized geometry",
  "lattice_angstrom": [[10.4381, -12.0949, 0.0000], [10.4381, 12.0949, 0.0000], [0.0000, 0.0000, 8.4707]],
  "species": ["Ba", "Ba", "Ba", "Ba", "Ba", "Ba", "Ba", "Ba", "Ba", "Ba", "Ba", "Ba", "Ca", "Ca", "I", "I", "I", "I", "I", "I", "I", "I", "I", "I", "I", "I", "I", "I", "I", "I", "I", "I", "I", "I", "I", "I", "I", "I", "I", "I", "I", "I"],
  "frac_coords": [[0.7530, 0.0517, 0.3118], [0.9483, 0.2470, 0.6882], [0.5517, 0.2530, 0.1882], [0.7470, 0.4483, 0.8118], [0.6930, 0.6930, 0.2604], [0.1930, 0.1930, 0.2396], [0.3070, 0.3070, 0.7396], [0.8070, 0.8070, 0.7604], [0.4483, 0.7470, 0.8118], [0.2530, 0.5517, 0.1882], [0.0517, 0.7530, 0.3118], [0.2470, 0.9483, 0.6882], [0.0000, 0.0000, 0.0000], [0.5000, 0.5000, 0.5000], [0.9660, 0.1495, 0.2290], [0.8505, 0.0340, 0.7710], [0.7458, 0.2542, 0.0000], [0.9509, 0.4509, 0.7500], [0.5491, 0.0491, 0.2500], [0.7542, 0.2458, 0.5000], [0.3627, 0.1608, 0.0047], [0.3392, 0.1373, 0.5047], [0.8392, 0.6373, 0.9953], [0.8627, 0.6608, 0.4953], [0.6495, 0.4660, 0.2710], [0.5340, 0.3505, 0.7290], [0.1222, 0.1222, 0.7955], [0.3778, 0.3778, 0.2955], [0.6222, 0.6222, 0.7045], [0.8778, 0.8778, 0.2045], [0.3505, 0.5340, 0.7290], [0.4660, 0.6495, 0.2710], [0.6373, 0.8392, 0.9953], [0.1373, 0.3392, 0.5047], [0.1608, 0.3627, 0.0047], [0.6608, 0.8627, 0.4953], [0.2458, 0.7542, 0.5000], [0.0491, 0.5491, 0.2500], [0.4509, 0.9509, 0.7500], [0.2542, 0.7458, 0.0000], [0.1495, 0.9660, 0.2290], [0.0340, 0.8505, 0.7710]],
  "total_energy_ev_per_atom": -3.36,
  "e_form_mev_per_atom": -1951
}



Record 6
{
  "formula": "Ca3Co4Sn13",
  "functional": "GGA-PBE",
  "state": "optimized geometry",
  "lattice_angstrom": [[-6.4099, 7.1957, 0.2221], [-5.7609, -5.3052, 5.6197], [4.3173, 3.6043, 7.8284]],
  "species": ["Ca", "Ca", "Ca", "Ca", "Ca", "Ca", "Co", "Co", "Co", "Co", "Co", "Co", "Co", "Co", "Sn", "Sn", "Sn", "Sn", "Sn", "Sn", "Sn", "Sn", "Sn", "Sn", "Sn", "Sn", "Sn", "Sn", "Sn", "Sn", "Sn", "Sn", "Sn", "Sn", "Sn", "Sn", "Sn", "Sn", "Sn", "Sn"],
  "frac_coords": [[0.5000, 0.0000, 0.7500], [0.0000, 0.2500, 0.5000], [0.7500, 0.5000, 0.0000], [0.5000, 0.0000, 0.2500], [0.0000, 0.7500, 0.5000], [0.2500, 0.5000, 0.0000], [0.7500, 0.2500, 0.7500], [0.2500, 0.7500, 0.2500], [0.7500, 0.7500, 0.2500], [0.2500, 0.2500, 0.7500], [0.2500, 0.7500, 0.7500], [0.7500, 0.2500, 0.2500], [0.2500, 0.2500, 0.2500], [0.7500, 0.7500, 0.7500], [0.5000, 0.5000, 0.5000], [0.0000, 0.0000, 0.0000], [0.6574, 0.1986, 0.5000], [0.8014, 0.5000, 0.6574], [0.5000, 0.3426, 0.8014], [0.3426, 0.8014, 0.5000], [0.1986, 0.5000, 0.3426], [0.5000, 0.6574, 0.1986], [0.6574, 0.8014, 0.5000], [0.8014, 0.5000, 0.3426], [0.3426, 0.1986, 0.5000], [0.1986, 0.5000, 0.6574], [0.5000, 0.6574, 0.8014], [0.5000, 0.3426, 0.1986], [0.1574, 0.0000, 0.6986], [0.3014, 0.1574, 0.0000], [0.0000, 0.3014, 0.8426], [0.8426, 0.0000, 0.3014], [0.6986, 0.8426, 0.0000], [0.0000, 0.6986, 0.1574], [0.1574, 0.0000, 0.3014], [0.3014, 0.8426, 0.0000], [0.8426, 0.0000, 0.6986], [0.6986, 0.1574, 0.0000], [0.0000, 0.3014, 0.1574], [0.0000, 0.6986, 0.8426]],
  "total_energy_ev_per_atom": -4.61,
  "e_form_mev_per_atom": -286
}